The following is a PBE calculation of a relaxed structure of ScGaO3, from the Materials Project database.

Structure (extended XYZ):
```
20
Lattice="5.0647 0.0000 0.0000 0.0000 5.3840 0.0000 0.0000 0.0000 7.5898" Properties=species:S:1:pos:R:3 pbc="T T T"
Sc 0.1224 5.0094 5.6923
Sc 2.4100 2.3174 5.6923
Sc 2.6547 3.0665 1.8974
Sc 4.9423 0.3746 1.8974
Ga 0.0000 2.6920 0.0000
Ga 0.0000 2.6920 3.7949
Ga 2.5323 0.0000 0.0000
Ga 2.5323 0.0000 3.7949
O 0.7144 2.3555 1.8974
O 0.9416 1.0175 4.3386
O 0.9416 1.0175 7.0460
O 1.5907 3.7095 4.3386
O 1.5907 3.7095 7.0460
O 1.8179 5.0475 1.8974
O 3.2468 0.3365 5.6923
O 3.4739 1.6745 0.5437
O 3.4739 1.6745 3.2512
O 4.1230 4.3664 0.5437
O 4.1230 4.3664 3.2512
O 4.3502 3.0284 5.6923
```

Properties
Energy relative to the elements = -3.04 eV/atom

=====

The following is a PBE calculation of a relaxed structure of ScGaO3, from the Materials Project database.

Structure (extended XYZ):
```
30
Lattice="-4.8923 1.4143 -2.7551 -0.0332 -4.1969 3.9888 -2.3599 7.8135 8.2015" Properties=species:S:1:pos:R:3 pbc="T T T"
Sc -2.2116 -0.4765 3.6827
Sc -0.6506 2.1541 2.2610
Sc -1.8306 6.0609 6.3618
Sc -3.3916 3.4302 7.7834
Sc -5.0113 5.3006 5.5354
Sc -3.8314 1.3938 1.4347
Ga -1.2090 1.1351 6.7810
Ga -0.0180 -1.3792 1.3569
Ga -2.8326 3.0001 4.5371
Ga -3.2868 -1.8299 0.8457
Ga -1.6415 0.4955 -0.8963
Ga -4.4447 4.8715 2.2903
O -1.6063 2.3202 8.2794
O -0.8185 -0.0282 5.3075
O -1.9895 5.0186 8.3248
O -0.4134 0.0603 2.6134
O -1.7190 -2.1077 1.9705
O -1.1194 3.7063 3.8903
O -2.2994 7.6130 7.9910
O -2.8989 1.7991 6.0713
O -3.0796 4.3967 5.8771
O -2.5912 1.6269 3.2207
O -1.8896 1.7649 0.5646
O -5.1091 4.7778 7.6565
O -3.8325 -0.6020 2.2605
O -3.7591 7.0621 5.8687
O -4.5187 3.6695 3.8233
O -3.3387 -0.2373 -0.2775
O -3.9081 3.5395 1.0196
O -4.9893 6.2267 3.5842
```

Properties
Maximum piezoelectric response = 0.310 C/m2
Energy relative to the elements = -3.11 eV/atom

=====

The following is a PBE calculation of a relaxed structure of Sr2ScGaO5, from the Materials Project database.

Structure (extended XYZ):
```
18
Lattice="5.7055 -0.5659 -0.5392 0.2360 5.1947 -2.9544 -1.9790 1.3948 8.3479" Properties=species:S:1:pos:R:3 pbc="T T T"
Sr 0.3643 3.5297 -0.0698
Sr 3.6390 2.4899 4.9202
Sr 0.9141 5.5860 3.5898
Sr 3.0892 0.4335 1.2606
Sc 2.9647 2.3150 -1.7462
Sc 5.6994 -0.5653 -0.5386
Ga 0.6934 2.2082 3.0722
Ga 3.6304 3.7796 1.7479
O -0.3939 5.0767 5.8304
O 1.5129 1.2289 -0.7074
O 4.3671 0.9783 -0.9954
O 2.4574 4.7614 5.5792
O 3.1617 3.7431 -0.0355
O 0.5800 2.3024 4.9106
O 3.5826 5.3170 2.7656
O 0.1592 0.7285 2.1096
O -0.2515 3.7178 2.3659
O 2.5574 2.4701 2.6449
```

Properties
Energy relative to the elements = -3.20 eV/atom

=====

The following is a PBE calculation of a relaxed structure of Y3Sc2Ga3O12, from the Materials Project database.

Structure (extended XYZ):
```
80
Lattice="-6.3066 6.3066 6.3066 6.3066 -6.3066 6.3066 6.3066 6.3066 -6.3066" Properties=species:S:1:pos:R:3 pbc="T T T"
Y 1.5766 0.0000 3.1533
Y 4.7299 6.3066 3.1533
Y -1.5766 6.3066 3.1533
Y 3.1533 1.5766 0.0000
Y 3.1533 -1.5766 6.3066
Y 7.8832 0.0000 3.1533
Y 3.1533 4.7299 6.3066
Y 3.1533 7.8832 0.0000
Y 0.0000 3.1533 1.5766
Y 6.3066 3.1533 4.7299
Y 6.3066 3.1533 -1.5766
Y 0.0000 3.1533 7.8832
Sc 0.0000 0.0000 0.0000
Sc 0.0000 6.3066 0.0000
Sc 6.3066 0.0000 0.0000
Sc -3.1533 3.1533 3.1533
Sc 0.0000 0.0000 6.3066
Sc 3.1533 3.1533 3.1533
Sc 3.1533 3.1533 -3.1533
Sc 3.1533 -3.1533 3.1533
Ga 4.7299 0.0000 3.1533
Ga 1.5766 6.3066 3.1533
Ga 1.5766 0.0000 9.4599
Ga 3.1533 4.7299 0.0000
Ga 3.1533 1.5766 6.3066
Ga 4.7299 6.3066 -3.1533
Ga 9.4599 1.5766 0.0000
Ga -3.1533 4.7299 6.3066
Ga 0.0000 3.1533 4.7299
Ga 6.3066 3.1533 1.5766
Ga 0.0000 9.4599 1.5766
Ga 6.3066 -3.1533 4.7299
O 1.2041 2.4193 3.5033
O 5.1025 3.8873 2.8033
O -1.2041 3.8873 3.5033
O -1.2041 8.7259 2.8033
O 3.5033 1.2041 2.4193
O 5.5726 -1.9492 5.9566
O 7.5106 2.4193 2.8033
O 7.5106 -2.4193 3.5033
O 2.8033 5.1025 3.8873
O 0.7340 8.2558 0.3500
O 7.5106 3.8873 -3.5033
O 3.5033 -1.2041 3.8873
O 0.7340 1.9492 -0.3500
O -1.2041 2.4193 9.8099
O 2.8033 7.5106 2.4193
O 5.5726 4.3573 6.6566
O 2.8033 -1.2041 8.7259
O 5.5726 1.9492 0.3500
O 3.5033 7.5106 -2.4193
O 0.7340 4.3573 5.9566
O -3.5033 7.5106 3.8873
O 7.0406 4.3573 0.3500
O 9.8099 -1.2041 2.4193
O -0.7340 1.9492 5.9566
O 2.4193 3.5033 1.2041
O 4.3573 0.3500 7.0406
O 3.8873 2.8033 5.1025
O 1.9492 5.9566 -0.7340
O 8.7259 2.8033 -1.2041
O 1.9492 -0.3500 0.7340
O -2.4193 3.5033 7.5106
O 4.3573 6.6566 5.5726
O 3.8873 -3.5033 7.5106
O -1.9492 5.9566 5.5726
O 2.4193 9.8099 -1.2041
O 8.2558 0.3500 0.7340
O 3.8873 3.5033 -1.2041
O 1.9492 0.3500 5.5726
O 2.4193 2.8033 7.5106
O 4.3573 5.9566 0.7340
O 5.9566 5.5726 -1.9492
O 0.3500 0.7340 8.2558
O -0.3500 0.7340 1.9492
O 6.6566 5.5726 4.3573
O 0.3500 7.0406 4.3573
O 5.9566 -0.7340 1.9492
O 0.3500 5.5726 1.9492
O 5.9566 0.7340 4.3573
```

Properties
Energy relative to the elements = -3.38 eV/atom

=====

The following is a PBE calculation of a relaxed structure of TlGaSe2O8, from the Materials Project database.

Structure (extended XYZ):
```
12
Lattice="-2.5641 -4.4411 0.0000 -2.5641 4.4411 0.0000 0.0000 0.0000 -9.0888" Properties=species:S:1:pos:R:3 pbc="T T T"
Tl 0.0000 0.0000 -4.5444
Ga 0.0000 0.0000 0.0000
Se -2.5641 -1.4804 -7.2601
Se -2.5641 1.4804 -1.8287
O -3.0586 -2.9985 -7.7842
O -1.0020 -1.1495 -7.7842
O -3.6316 0.2930 -1.3046
O -3.6316 -0.2930 -7.7842
O -3.0586 2.9985 -1.3046
O -1.0020 1.1495 -1.3046
O -2.5641 -1.4804 -5.6080
O -2.5641 1.4804 -3.4808
```

Properties
Energy relative to the elements = -1.34 eV/atom

=====

The following is a PBE calculation of a relaxed structure of Ga10Si2O19, from the Materials Project database.

Structure (extended XYZ):
```
62
Lattice="-10.5334 9.6856 6.8996 8.5207 -6.4378 -11.7609 -5.7247 -5.3622 -1.2123" Properties=species:S:1:pos:R:3 pbc="T T T"
Ga -11.9319 7.3505 5.9185
Ga -12.3761 4.4487 4.1638
Ga -8.9376 6.2808 3.9642
Ga -11.0874 1.7980 1.8594
Ga -5.1745 5.4845 -0.0571
Ga -4.1860 3.8893 2.3306
Ga -3.9131 2.4039 -0.7061
Ga -4.4897 -0.8979 -0.6577
Ga -5.5214 0.7669 -3.1496
Ga -6.1442 -2.3973 -2.9901
Ga -2.3942 -0.4673 -3.2532
Ga -6.0768 -3.8664 -6.0150
Ga -5.0451 -5.5312 -3.5232
Ga -2.8462 -3.6022 -5.1604
Ga -0.7405 -3.3708 -7.8090
Ga 0.2480 -4.9660 -5.4213
Ga 2.5629 -4.6496 -8.0997
Ga 1.7578 -7.8729 -9.9198
Ga 5.6018 -5.6610 -10.0335
Ga 3.1098 -10.4809 -12.2219
Si -6.9602 4.8392 2.1824
Si -7.7919 -0.6572 -1.1453
Si -0.3585 -1.8441 -5.0158
Si 0.0403 -6.1878 -8.0829
O -15.2964 4.3414 5.3012
O -11.5461 5.9226 4.8048
O -9.0763 7.7326 4.9916
O -11.0184 3.5351 2.9913
O -7.1305 6.2370 3.1868
O -8.5653 4.2420 2.4480
O -10.8769 0.2474 0.7363
O -6.1041 3.5261 2.8307
O -7.0664 5.0789 0.5065
O -8.9522 0.4501 -1.6647
O -8.0618 -0.9867 0.4858
O -4.6120 3.6782 0.4346
O -6.3255 -0.0080 -1.3188
O -3.9359 0.8252 0.1932
O -4.9312 2.4314 -2.2109
O -7.9047 -2.0838 -2.0517
O -5.0882 -2.5479 -1.5225
O -6.1146 -0.8916 -4.0017
O -3.9816 -0.1983 -2.4162
O -5.7618 -3.7951 -4.0822
O -2.1749 0.8778 -4.4507
O -1.1485 -0.7785 -1.9715
O -1.9531 -2.0168 -4.4710
O -4.1875 -3.3012 -6.3486
O -3.1922 -4.9073 -3.9445
O 0.2953 -0.5073 -4.3934
O -1.3812 -4.1589 -6.1389
O -0.3312 -1.7418 -6.6983
O 0.5592 -3.1785 -4.5477
O -1.0619 -5.1053 -8.7834
O -0.0996 -6.6581 -6.4592
O 0.8128 -4.5412 -7.3026
O -0.5482 -7.6453 -8.8130
O 1.6170 -6.2684 -8.7895
O 4.5081 -4.5001 -8.8051
O 3.3935 -7.9226 -10.6301
O 1.4883 -10.2103 -11.3698
O 5.6297 -8.2630 -11.7834
```

Properties
Energy relative to the elements = -2.39 eV/atom

=====

The following is a PBE calculation of a relaxed structure of SmGaO3, from the Materials Project database.

Structure (extended XYZ):
```
5
Lattice="-0.2109 -1.6441 -3.4883 2.2370 -2.8979 1.2305 -3.1412 -1.9533 1.1106" Properties=species:S:1:pos:R:3 pbc="T T T"
Sm 0.0000 0.0000 0.0000
Ga -0.5576 -3.2476 -0.5736
O 1.0130 -2.2710 -1.1289
O -1.6761 -1.7987 -1.1889
O -0.4521 -2.4256 1.1706
```

Properties
Energy relative to the elements = -2.91 eV/atom

=====

The following is a PBE calculation of a relaxed structure of Sm3Ga5O12, from the Materials Project database.

Structure (extended XYZ):
```
80
Lattice="7.0926 4.0772 -7.1771 5.3681 -5.6509 7.5954 -6.9934 -6.5658 -5.1402" Properties=species:S:1:pos:R:3 pbc="T T T"
Sm 2.0993 -8.0289 1.6391
Sm 7.8127 -1.6057 -2.8179
Sm 3.8849 -7.3207 -1.6949
Sm 5.8612 -4.7743 -3.7961
Sm -0.3444 -4.6096 -7.0845
Sm 2.5552 -6.2190 -5.1334
Sm 3.3679 -0.1107 -6.3610
Sm -2.3455 -6.5338 -1.9040
Sm 1.5824 -0.8189 -3.0270
Sm -0.3939 -3.3653 -0.9259
Sm 5.8116 -3.5300 2.3626
Sm 2.9120 -1.9205 0.4115
Ga -3.6751 -5.4322 -5.3425
Ga 9.1423 -2.7074 0.6206
Ga -0.3692 -3.9874 -4.0052
Ga 4.6975 -1.2123 -2.9225
Ga -1.2066 -9.4737 0.3018
Ga 1.6319 -2.0632 -9.1857
Ga 2.9616 -3.1648 -5.7472
Ga 0.7697 -6.9273 -1.7994
Ga 3.8353 -6.0764 4.4638
Ga 6.6738 1.3341 -5.0237
Ga 5.8364 -4.1521 -0.7167
Ga 2.5057 -4.9747 1.0253
Ga 2.7336 -4.0698 -2.3610
Ga 6.2303 -0.7869 0.2091
Ga 0.0496 -1.2443 -6.1587
Ga -0.8127 -6.1084 1.2276
Ga 3.5463 2.0386 -3.5886
Ga -3.4967 -3.2829 -2.5701
Ga 2.6840 -2.8255 3.7977
Ga 0.0000 0.0000 0.0000
O 2.0036 -3.9622 -0.4720
O -4.4170 -7.6536 -2.3825
O -2.3623 -8.8998 -1.0599
O 3.3212 -3.6309 2.0490
O 1.9145 -0.0199 -0.6687
O 3.6645 0.0338 -3.8707
O 1.8606 -1.6949 -5.3649
O -1.7184 -4.2449 -2.7276
O 4.3761 -2.2784 -6.6030
O 5.1342 -5.8226 3.1343
O 5.8513 -0.0494 -5.9872
O 0.4230 -1.8397 0.7413
O -0.3547 -5.8697 -0.7335
O 6.3322 -5.2245 0.7404
O -0.4283 -0.9828 -1.7215
O 5.3214 -2.5998 0.2019
O -0.5093 -7.6813 -2.9460
O 4.2962 1.4308 -7.9536
O 8.3068 -3.5510 2.0730
O 1.0912 -5.8612 1.8811
O 2.9917 -0.8535 -8.7311
O 0.9609 -3.2499 -2.9070
O 6.9616 -3.9617 4.4279
O -2.5847 -6.6350 -4.4026
O 3.4636 -4.1774 -4.2499
O 9.8842 -0.4859 -2.3394
O 7.8295 0.7602 -3.6620
O 2.1460 -4.5087 -6.7709
O 3.5527 -8.1197 -4.0532
O 1.8027 -8.1734 -0.8512
O 3.6067 -6.4447 0.6430
O 7.1856 -3.8946 -1.9943
O 8.0520 -1.5046 -0.3193
O -1.4943 -4.1779 -9.1498
O 4.5063 -4.8897 -1.8149
O 2.1401 -5.9847 -2.6670
O 2.4755 -7.2861 4.0091
O -2.8396 -4.5886 -6.7949
O 1.1710 -9.5703 3.2317
O 5.9765 -0.4583 -1.7759
O 0.1458 -5.5398 -4.9238
O 5.8955 -7.1568 -3.0004
O -0.8650 -2.9150 -5.4623
O 5.8220 -2.2699 -3.9884
O 5.0442 -6.2999 -5.4632
O -0.3840 -8.0902 1.2653
O 0.3330 -2.3170 -7.8562
O 3.3271 -2.1549 -2.0550
```

Properties
Energy relative to the elements = -2.93 eV/atom

=====

The following is a PBE calculation of a relaxed structure of Sm3GaO6, from the Materials Project database.

Structure (extended XYZ):
```
20
Lattice="4.5737 -5.7332 0.0000 4.5737 5.7332 0.0000 0.0000 0.0000 5.5679" Properties=species:S:1:pos:R:3 pbc="T T T"
Sm 4.5737 1.1785 5.1391
Sm 4.5737 -1.1785 2.3551
Sm 1.7677 -1.2130 5.3929
Sm 7.3797 1.2130 2.6089
Sm 7.3797 -1.2130 5.3929
Sm 1.7677 1.2130 2.6089
Ga 4.5737 3.5199 2.7905
Ga 4.5737 -3.5199 0.0066
O 4.5737 3.2668 0.9460
O 4.5737 -3.2668 3.7300
O 4.5737 5.2614 3.5370
O 4.5737 -5.2614 0.7530
O 3.1122 -0.1656 3.8839
O 6.0352 0.1656 1.0999
O 6.0352 -0.1656 3.8839
O 3.1122 0.1656 1.0999
O 5.9973 -2.7233 0.9657
O 3.1501 2.7233 3.7496
O 3.1501 -2.7233 0.9657
O 5.9973 2.7233 3.7496
```

Properties
Maximum piezoelectric response = 0.445 C/m2
Energy relative to the elements = -3.50 eV/atom

=====

The following is a PBE calculation of a relaxed structure of Sr3Ga4O9, from the Materials Project database.

Structure (extended XYZ):
```
32
Lattice="-1.8813 6.2191 -2.0881 -4.5807 3.0336 6.0010 6.8060 6.3581 3.1599" Properties=species:S:1:pos:R:3 pbc="T T T"
Sr -1.3086 8.4345 1.9131
Sr 1.6527 7.1762 5.1596
Sr -4.6216 6.9251 3.4157
Sr 4.9657 8.6856 3.6570
Sr 4.3413 4.9016 2.3706
Sr -3.9973 10.7091 4.7021
Ga 2.5210 9.8260 6.9397
Ga -2.1770 5.7847 0.1330
Ga 1.9088 10.3627 3.7171
Ga -1.5648 5.2480 3.3556
Ga 0.5266 4.8642 1.1672
Ga -0.1825 10.7466 5.9054
Ga 2.0124 7.7704 1.8286
Ga -1.6684 7.8404 5.2441
O 0.6026 6.7313 1.1675
O -0.2585 8.8794 5.9051
O 3.1947 11.1565 2.6392
O -2.8507 4.4542 4.4334
O -0.7592 4.5355 -0.1790
O 1.1033 11.0752 7.2517
O 1.0194 9.1886 2.5638
O -0.6753 6.4222 4.5089
O 2.1800 4.0839 0.8502
O -1.8359 11.5268 6.2225
O -2.7782 8.5988 4.0078
O 3.1223 7.0119 3.0648
O -1.8458 7.4474 -0.5482
O 2.1898 8.1633 7.6208
O 2.8295 9.4502 5.0830
O -2.4854 6.1605 1.9897
O 0.6295 11.5098 4.4062
O -0.2855 4.1010 2.6664
```

Properties
Energy relative to the elements = -2.72 eV/atom

=====

Copy entry 2 word for word.
The following is a PBE calculation of a relaxed structure of ScGaO3, from the Materials Project database.

Structure (extended XYZ):
```
30
Lattice="-4.8923 1.4143 -2.7551 -0.0332 -4.1969 3.9888 -2.3599 7.8135 8.2015" Properties=species:S:1:pos:R:3 pbc="T T T"
Sc -2.2116 -0.4765 3.6827
Sc -0.6506 2.1541 2.2610
Sc -1.8306 6.0609 6.3618
Sc -3.3916 3.4302 7.7834
Sc -5.0113 5.3006 5.5354
Sc -3.8314 1.3938 1.4347
Ga -1.2090 1.1351 6.7810
Ga -0.0180 -1.3792 1.3569
Ga -2.8326 3.0001 4.5371
Ga -3.2868 -1.8299 0.8457
Ga -1.6415 0.4955 -0.8963
Ga -4.4447 4.8715 2.2903
O -1.6063 2.3202 8.2794
O -0.8185 -0.0282 5.3075
O -1.9895 5.0186 8.3248
O -0.4134 0.0603 2.6134
O -1.7190 -2.1077 1.9705
O -1.1194 3.7063 3.8903
O -2.2994 7.6130 7.9910
O -2.8989 1.7991 6.0713
O -3.0796 4.3967 5.8771
O -2.5912 1.6269 3.2207
O -1.8896 1.7649 0.5646
O -5.1091 4.7778 7.6565
O -3.8325 -0.6020 2.2605
O -3.7591 7.0621 5.8687
O -4.5187 3.6695 3.8233
O -3.3387 -0.2373 -0.2775
O -3.9081 3.5395 1.0196
O -4.9893 6.2267 3.5842
```

Properties
Maximum piezoelectric response = 0.310 C/m2
Energy relative to the elements = -3.11 eV/atom

=====

> Number 2 is which compound?

ScGaO3